Density functional theory data (GGA-PBE) for PmTmAl2 after structural relaxation.

POSCAR file:
```
PmTmAl2
1.0
-0.099 -2.953 4.196
-3.552 0.799 3.617
-3.795 -3.390 0.663
Pm Tm Al
1 1 2
Direct
0.500 0.500 0.500
0.000 0.000 0.000
0.750 0.750 0.750
0.250 0.250 0.250
```

Space group: No. 225
Calculated formation energy in kJ per mole of atoms: -36